# 1
! PBE-GGA BaO10, relaxed; values from VASP
! Space-group type: P4/mcc
! Total energy in hartree per atom: -0.186
! Magnetic moment in μB/cell: 0.0
&SYSTEM
  ibrav = 0, nat = 22, ntyp = 2
/
ATOMIC_SPECIES
O 16.00 O.upf
Ba 137.33 Ba.upf
CELL_PARAMETERS angstrom
-3.877 0.529 -4.611
-0.697 -6.007 -0.103
-8.271 0.839 7.051
ATOMIC_POSITIONS angstrom
O -7.352 -2.660 -1.518
O -3.887 -2.142 2.485
O -5.633 0.238 0.154
O -8.135 -2.698 5.994
O -8.958 -2.497 -0.148
O -3.706 -5.211 -2.091
O -5.493 -1.979 3.855
O -7.212 -4.878 2.183
O -1.471 -3.373 0.313
O -7.239 0.401 1.523
O -9.139 0.572 4.428
O -10.090 -1.948 4.295
O -6.890 -2.272 1.567
O -2.755 -2.692 -1.958
O -11.374 -1.266 2.024
O -10.370 -4.535 3.591
O -2.475 -0.104 -1.254
O -5.606 -5.041 0.813
O -4.710 -1.942 -3.657
O -5.955 -2.367 0.770
Ba 0.000 0.000 0.000
Ba -4.135 0.419 3.525

---

# 2
! PBE-GGA Sm3CuGeSe7, relaxed; values from VASP
! Space-group type: P6_3
! Total energy in hartree per atom: -0.193
! Magnetic moment in μB/cell: 0.0
&SYSTEM
  ibrav = 0, nat = 24, ntyp = 4
/
ATOMIC_SPECIES
Se 78.96 Se.upf
Sm 150.36 Sm.upf
Cu 63.55 Cu.upf
Ge 72.64 Ge.upf
CELL_PARAMETERS angstrom
5.267 -9.123 0.000
5.267 9.123 0.000
0.000 0.000 6.124
ATOMIC_POSITIONS angstrom
Se 3.556 4.402 3.053
Se 2.217 -0.880 4.477
Se 4.920 -6.763 4.477
Se 5.267 3.041 5.821
Se 5.590 -0.879 6.115
Se 7.301 3.842 3.053
Se 5.613 6.763 1.416
Se 8.664 -1.480 4.477
Se 5.267 -3.041 2.759
Se 4.944 0.879 3.053
Se 1.870 1.480 1.416
Se 3.233 -3.842 6.115
Se 8.317 0.880 1.416
Se 6.978 -4.402 6.115
Sm 7.973 -2.046 1.553
Sm 3.053 -1.195 1.553
Sm 7.481 1.195 4.615
Sm 4.775 -5.882 1.553
Sm 2.561 2.046 4.615
Sm 5.759 5.882 4.615
Cu 0.000 0.000 1.330
Cu 0.000 0.000 4.392
Ge 5.267 -3.041 5.116
Ge 5.267 3.041 2.054

---

# 3
! PBE-GGA Pr12Si5Se28, relaxed; values from VASP
! Space-group type: P1
! Total energy in hartree per atom: -0.201
! Magnetic moment in μB/cell: 0.0
&SYSTEM
  ibrav = 0, nat = 45, ntyp = 3
/
ATOMIC_SPECIES
Se 78.96 Se.upf
Pr 140.91 Pr.upf
Si 28.09 Si.upf
CELL_PARAMETERS angstrom
-10.700 0.000 0.000
-0.001 -12.151 0.000
5.349 6.069 9.252
ATOMIC_POSITIONS angstrom
Se -0.368 0.158 8.252
Se -5.344 -5.823 2.968
Se -3.478 1.615 7.684
Se -0.328 -5.946 8.281
Se -5.010 -8.976 0.973
Se -5.021 -2.919 1.001
Se -3.674 -4.221 7.920
Se -1.889 -1.389 1.535
Se -3.693 -8.972 4.402
Se -7.346 -8.980 3.815
Se 1.984 0.148 5.316
Se -1.728 -5.926 4.908
Se 3.375 -4.216 8.466
Se -3.705 -2.922 4.440
Se -5.724 -1.529 7.084
Se -8.429 -1.382 0.866
Se 3.051 1.605 8.402
Se -0.004 3.309 6.175
Se 0.407 -4.477 2.427
Se -0.005 -2.766 6.165
Se -1.693 -7.594 1.414
Se -5.745 -7.466 6.854
Se -7.332 -2.913 3.870
Se 1.995 -5.925 5.543
Se -8.635 -7.597 0.754
Se -1.550 0.149 4.730
Se -5.360 0.241 3.201
Se 0.316 -10.279 2.101
Pr 2.163 -1.398 8.043
Pr 0.560 -7.457 3.383
Pr -7.658 -4.438 1.133
Pr 0.519 -1.606 3.214
Pr -2.675 -10.674 2.133
Pr -5.858 -4.613 5.856
Pr -2.812 4.474 7.213
Pr -5.904 1.642 6.055
Pr -2.725 -1.386 7.053
Pr -2.512 -4.449 2.076
Pr 2.284 4.470 8.100
Pr -7.495 -10.678 1.232
Si -5.355 -2.024 3.086
Si 0.026 1.051 6.150
Si -0.027 -5.026 6.193
Si -10.694 -8.943 0.005
Si -5.348 -8.080 3.084

---

# 4
! PBE-GGA ZnGeO6F6, relaxed; values from VASP
! Space-group type: R-3
! Total energy in hartree per atom: -0.130
! Magnetic moment in μB/cell: 12.0
&SYSTEM
  ibrav = 0, nat = 14, ntyp = 4
/
ATOMIC_SPECIES
O 16.00 O.upf
Zn 65.41 Zn.upf
F 19.00 F.upf
Ge 72.64 Ge.upf
CELL_PARAMETERS angstrom
-5.178 -2.065 1.286
-0.089 -1.907 -5.393
2.810 -4.550 2.033
ATOMIC_POSITIONS angstrom
O -1.762 -2.547 -2.119
O -1.686 -3.268 0.750
O -0.696 -5.975 0.045
O 0.743 -3.563 -0.914
O -0.771 -5.255 -2.825
O -3.201 -4.959 -1.161
Zn -1.229 -4.261 -1.037
F 1.659 -5.220 -2.524
F 1.416 -5.017 0.940
F -1.842 -5.340 2.115
F -0.615 -3.183 -4.189
F -4.117 -3.302 0.450
F -3.873 -3.506 -3.014
Ge 0.000 0.000 0.000

---

# 5
! PBE-GGA Ce2BiO2, relaxed; values from VASP
! Space-group type: I4/mmm
! Total energy in hartree per atom: -0.284
&SYSTEM
  ibrav = 0, nat = 5, ntyp = 3
/
ATOMIC_SPECIES
Bi 208.98 Bi.upf
Ce 140.12 Ce.upf
O 16.00 O.upf
CELL_PARAMETERS angstrom
-2.017 2.017 6.522
2.017 -2.017 6.522
2.017 2.017 -6.522
ATOMIC_POSITIONS angstrom
Bi 0.000 0.000 0.000
Ce 0.000 0.000 8.589
Ce 0.000 0.000 4.454
O 0.000 2.017 3.261
O 2.017 0.000 3.261

---

# 6
! PBE-GGA Na6Y4Si3S3O24, relaxed; values from VASP
! Space-group type: P1
! Total energy in hartree per atom: -0.255
! Magnetic moment in μB/cell: 0.0
&SYSTEM
  ibrav = 0, nat = 120, ntyp = 5
/
ATOMIC_SPECIES
Na 22.99 Na.upf
O 16.00 O.upf
Si 28.09 Si.upf
Y 88.91 Y.upf
S 32.06 S.upf
CELL_PARAMETERS angstrom
-4.206 -8.465 0.160
6.096 2.096 -6.917
17.637 -8.529 12.982
ATOMIC_POSITIONS angstrom
Na 11.223 -13.882 7.310
Na 14.558 -3.725 3.038
Na 2.017 -7.572 3.381
Na 13.597 -12.005 8.501
Na 10.968 -10.387 -0.116
Na 5.878 -2.843 -2.348
Na 5.238 -11.052 3.682
Na 5.132 -4.346 1.019
Na 14.357 -7.082 4.069
Na 5.943 -6.417 5.190
Na 4.989 -7.889 2.225
Na 3.308 -0.154 -1.139
Na 13.604 -16.790 12.962
Na 13.279 -13.681 11.548
Na 15.641 -14.501 7.294
Na 6.346 -1.545 -5.366
Na 14.190 -10.442 5.075
Na 13.327 -8.727 0.951
O 21.100 -9.148 6.691
O 12.678 -5.079 3.983
O 6.679 -7.680 -1.310
O 9.725 -12.131 5.947
O 8.175 -3.250 -2.588
O 5.558 -8.705 4.400
O 4.711 -6.632 -0.413
O 14.826 -8.139 6.638
O 4.595 -4.296 3.897
O 11.755 -10.419 2.099
O 14.952 -13.660 5.250
O 4.491 -3.068 -4.769
O 19.226 -8.617 5.253
O 9.911 -2.797 0.348
O 2.773 -8.554 1.106
O 5.126 -6.603 -2.830
O 8.195 -7.947 6.056
O 0.239 -6.468 -3.363
O 16.927 -10.598 6.795
O 3.431 -5.789 2.065
O -1.568 -5.738 -0.528
O 6.426 -5.248 -1.359
O 9.582 -5.629 2.938
O 0.463 -6.347 1.048
O 18.918 -11.463 7.871
O 17.238 -7.475 10.697
O 14.475 -8.310 9.042
O 16.639 -6.268 5.280
O 0.654 -3.500 -1.732
O 7.689 -4.634 3.991
O 7.510 -11.095 4.812
O 2.205 -7.491 -4.305
O 2.879 -2.539 -2.151
O 14.012 -6.088 1.562
O 16.176 -9.164 4.202
O 11.061 -13.690 10.462
O 9.561 -6.676 7.577
O 12.248 -7.959 2.949
O 6.923 -9.874 2.003
O 8.498 -1.237 -4.324
O 17.152 -4.367 3.462
O 17.695 -7.481 7.936
O 9.805 -9.165 3.347
O 2.617 -4.333 -0.569
O 13.181 -9.653 7.541
O 6.641 -2.677 0.019
O 7.223 -12.999 6.579
O 1.697 -2.102 -0.086
O 12.935 -12.278 6.292
O 3.877 -10.510 5.513
O 7.454 -6.877 3.153
O 19.495 -8.502 9.658
O 4.780 -0.444 -3.392
O 15.091 -11.638 11.190
O 14.776 -14.281 9.649
O 4.575 -1.371 0.966
O 11.373 -6.736 0.191
O -1.906 -7.754 1.107
O 11.946 -9.888 4.766
O 14.943 -10.601 2.393
O 17.742 -12.875 6.344
O 2.338 -10.464 2.822
O 12.141 -2.030 -0.300
O 1.870 -7.436 -1.857
O 9.842 -9.113 7.415
O 11.321 -11.772 8.684
O 21.302 -7.287 5.199
O 9.465 -5.690 -1.386
O 16.698 -12.347 8.455
O 12.856 -7.216 7.602
O 7.661 -5.059 1.569
O 11.897 -3.705 1.396
Si 3.128 -4.656 3.256
Si 18.308 -7.370 9.447
Si 8.216 -12.492 5.383
Si 6.214 -1.536 1.119
Si 16.430 -10.209 2.961
Si 13.320 -13.374 5.107
Si 11.431 -9.345 3.318
Si -1.186 -6.272 0.995
Si 10.600 -6.889 -1.240
Y 7.842 -9.127 4.090
Y 16.500 -13.393 10.592
Y 2.436 -6.600 0.286
Y 11.735 -6.021 2.219
Y 17.037 -8.244 5.979
Y 8.305 -4.057 -0.559
Y 14.966 -7.224 10.928
Y -1.486 -9.717 2.137
Y 13.379 -11.883 1.698
Y 2.890 -1.612 -4.291
Y 8.066 -9.266 -2.207
Y 11.248 -10.797 6.623
S 11.293 -2.486 0.826
S 1.235 -7.553 -3.188
S 8.106 -5.569 2.891
S 1.962 -3.142 -1.139
S 5.733 -6.564 -1.473
S 20.701 -8.633 5.347
S 13.804 -8.330 7.717
S 17.549 -11.791 7.366
S 8.899 -7.978 7.368

---

- What is the total energy in the sixth record?
  -0.255 hartree per atom

---

Copy entry 3 word for word.
! PBE-GGA Pr12Si5Se28, relaxed; values from VASP
! Space-group type: P1
! Total energy in hartree per atom: -0.201
! Magnetic moment in μB/cell: 0.0
&SYSTEM
  ibrav = 0, nat = 45, ntyp = 3
/
ATOMIC_SPECIES
Se 78.96 Se.upf
Pr 140.91 Pr.upf
Si 28.09 Si.upf
CELL_PARAMETERS angstrom
-10.700 0.000 0.000
-0.001 -12.151 0.000
5.349 6.069 9.252
ATOMIC_POSITIONS angstrom
Se -0.368 0.158 8.252
Se -5.344 -5.823 2.968
Se -3.478 1.615 7.684
Se -0.328 -5.946 8.281
Se -5.010 -8.976 0.973
Se -5.021 -2.919 1.001
Se -3.674 -4.221 7.920
Se -1.889 -1.389 1.535
Se -3.693 -8.972 4.402
Se -7.346 -8.980 3.815
Se 1.984 0.148 5.316
Se -1.728 -5.926 4.908
Se 3.375 -4.216 8.466
Se -3.705 -2.922 4.440
Se -5.724 -1.529 7.084
Se -8.429 -1.382 0.866
Se 3.051 1.605 8.402
Se -0.004 3.309 6.175
Se 0.407 -4.477 2.427
Se -0.005 -2.766 6.165
Se -1.693 -7.594 1.414
Se -5.745 -7.466 6.854
Se -7.332 -2.913 3.870
Se 1.995 -5.925 5.543
Se -8.635 -7.597 0.754
Se -1.550 0.149 4.730
Se -5.360 0.241 3.201
Se 0.316 -10.279 2.101
Pr 2.163 -1.398 8.043
Pr 0.560 -7.457 3.383
Pr -7.658 -4.438 1.133
Pr 0.519 -1.606 3.214
Pr -2.675 -10.674 2.133
Pr -5.858 -4.613 5.856
Pr -2.812 4.474 7.213
Pr -5.904 1.642 6.055
Pr -2.725 -1.386 7.053
Pr -2.512 -4.449 2.076
Pr 2.284 4.470 8.100
Pr -7.495 -10.678 1.232
Si -5.355 -2.024 3.086
Si 0.026 1.051 6.150
Si -0.027 -5.026 6.193
Si -10.694 -8.943 0.005
Si -5.348 -8.080 3.084